w | Below is a geometry-optimized LiV3O5F structure, with properties calculated at the PBE+U level.

CIF file:
```
data_LiV3O5F
_cell_length_a 5.112
_cell_length_b 5.116
_cell_length_c 5.483
_cell_angle_alpha 117.15
_cell_angle_beta 90.13
_cell_angle_gamma 119.29
_space_group_name_H-M_alt 'P 1'
_space_group_IT_number 1
_space_group_name_Hall 'P 1'
loop_
_atom_site_label
_atom_site_type_symbol
_atom_site_fract_x
_atom_site_fract_y
_atom_site_fract_z
_atom_site_occupancy
Li1 Li 0.000 0.000 0.000 1
V1 V 0.234 0.413 0.634 1
V2 V 0.563 0.049 0.543 1
V3 V 0.766 0.473 0.160 1
O1 O 0.151 0.927 0.360 1
O2 O 0.468 0.599 0.388 1
O3 O 0.607 0.496 0.840 1
O4 O 0.828 0.253 0.362 1
O5 O 0.940 0.250 0.839 1
F1 F 0.342 0.937 0.870 1
```

---

x | Below is a geometry-optimized LiV3O5F structure, with properties calculated at the PBE+U level.

CIF file:
```
data_LiV3O5F
_cell_length_a 5.095
_cell_length_b 5.520
_cell_length_c 8.983
_cell_angle_alpha 107.59
_cell_angle_beta 90.35
_cell_angle_gamma 116.33
_space_group_name_H-M_alt 'P 1'
_space_group_IT_number 1
_space_group_name_Hall 'P 1'
loop_
_atom_site_label
_atom_site_type_symbol
_atom_site_fract_x
_atom_site_fract_y
_atom_site_fract_z
_atom_site_occupancy
Li1 Li 0.000 0.000 0.000 1
Li2 Li 0.476 0.993 0.495 1
V1 V 0.108 0.163 0.342 1
V2 V 0.301 0.546 0.747 1
V3 V 0.339 0.620 0.104 1
V4 V 0.610 0.166 0.835 1
V5 V 0.805 0.542 0.244 1
V6 V 0.828 0.640 0.607 1
O1 O 0.226 0.835 0.289 1
O2 O 0.271 0.850 0.674 1
O3 O 0.364 0.355 0.213 1
O4 O 0.373 0.368 0.897 1
O5 O 0.385 0.360 0.548 1
O6 O 0.733 0.858 0.798 1
O7 O 0.771 0.835 0.172 1
O8 O 0.841 0.359 0.721 1
O9 O 0.866 0.394 0.391 1
O10 O 0.870 0.352 0.046 1
F1 F 0.292 0.848 0.962 1
F2 F 0.801 0.875 0.468 1
```

---

Stability summary - winner: w; margin: 0.008 eV/atom.

---

w | Below is a geometry-optimized Li2V3O3F5 structure, with properties calculated at the PBE+U level.

CIF file:
```
data_Li2V3O3F5
_cell_length_a 5.953
_cell_length_b 8.509
_cell_length_c 6.120
_cell_angle_alpha 90.32
_cell_angle_beta 91.17
_cell_angle_gamma 87.80
_space_group_name_H-M_alt 'P 1'
_space_group_IT_number 1
_space_group_name_Hall 'P 1'
loop_
_atom_site_label
_atom_site_type_symbol
_atom_site_fract_x
_atom_site_fract_y
_atom_site_fract_z
_atom_site_occupancy
Li1 Li 0.508 0.500 0.496 1
Li2 Li 0.008 0.000 0.996 1
Li3 Li 0.994 0.748 0.511 1
Li4 Li 0.494 0.248 0.011 1
V1 V 0.503 0.873 0.753 1
V2 V 0.998 0.387 0.752 1
V3 V 0.234 0.625 0.990 1
V4 V 0.003 0.373 0.253 1
V5 V 0.498 0.887 0.252 1
V6 V 0.734 0.125 0.490 1
O1 O 0.523 0.109 0.256 1
O2 O 0.023 0.609 0.756 1
O3 O 0.282 0.861 0.992 1
O4 O 0.782 0.361 0.492 1
O5 O 0.719 0.885 0.510 1
O6 O 0.219 0.385 0.010 1
F1 F 0.477 0.640 0.244 1
F2 F 0.977 0.140 0.744 1
F3 F 0.734 0.878 0.000 1
F4 F 0.234 0.378 0.500 1
F5 F 0.488 0.635 0.757 1
F6 F 0.988 0.135 0.257 1
F7 F 0.014 0.613 0.247 1
F8 F 0.514 0.113 0.747 1
F9 F 0.769 0.371 0.003 1
F10 F 0.269 0.871 0.503 1
```

---

x | Below is a geometry-optimized Li2V3O3F5 structure, with properties calculated at the PBE+U level.

CIF file:
```
data_Li2V3O3F5
_cell_length_a 5.894
_cell_length_b 5.933
_cell_length_c 5.935
_cell_angle_alpha 60.44
_cell_angle_beta 60.84
_cell_angle_gamma 62.02
_space_group_name_H-M_alt 'P 1'
_space_group_IT_number 1
_space_group_name_Hall 'P 1'
loop_
_atom_site_label
_atom_site_type_symbol
_atom_site_fract_x
_atom_site_fract_y
_atom_site_fract_z
_atom_site_occupancy
Li1 Li 0.000 0.000 0.000 1
Li2 Li 0.270 0.240 0.224 1
V1 V 0.154 0.636 0.594 1
V2 V 0.619 0.623 0.598 1
V3 V 0.638 0.120 0.611 1
O1 O 0.378 0.848 0.393 1
O2 O 0.392 0.372 0.825 1
O3 O 0.865 0.853 0.415 1
F1 F 0.377 0.369 0.388 1
F2 F 0.400 0.867 0.838 1
F3 F 0.874 0.369 0.377 1
F4 F 0.890 0.392 0.822 1
F5 F 0.895 0.867 0.840 1
```

---

Stability summary - winner: w; margin: 0.024 eV/atom.

---

w | Below is a geometry-optimized LiV3O4F2 structure, with properties calculated at the PBE+U level.

CIF file:
```
data_LiV3O4F2
_cell_length_a 5.170
_cell_length_b 5.176
_cell_length_c 5.523
_cell_angle_alpha 116.13
_cell_angle_beta 92.00
_cell_angle_gamma 118.95
_space_group_name_H-M_alt 'P 1'
_space_group_IT_number 1
_space_group_name_Hall 'P 1'
loop_
_atom_site_label
_atom_site_type_symbol
_atom_site_fract_x
_atom_site_fract_y
_atom_site_fract_z
_atom_site_occupancy
Li1 Li 0.000 0.000 0.000 1
V1 V 0.246 0.448 0.610 1
V2 V 0.547 0.082 0.537 1
V3 V 0.754 0.509 0.177 1
O1 O 0.138 0.962 0.349 1
O2 O 0.482 0.625 0.392 1
O3 O 0.606 0.523 0.846 1
O4 O 0.838 0.300 0.368 1
F1 F 0.346 0.958 0.861 1
F2 F 0.964 0.284 0.853 1
```

---

x | Below is a geometry-optimized LiV3O4F2 structure, with properties calculated at the PBE+U level.

CIF file:
```
data_LiV3O4F2
_cell_length_a 10.299
_cell_length_b 8.661
_cell_length_c 4.903
_cell_angle_alpha 90.00
_cell_angle_beta 90.00
_cell_angle_gamma 90.00
_space_group_name_H-M_alt 'P 1'
_space_group_IT_number 1
_space_group_name_Hall 'P 1'
loop_
_atom_site_label
_atom_site_type_symbol
_atom_site_fract_x
_atom_site_fract_y
_atom_site_fract_z
_atom_site_occupancy
Li1 Li 0.220 0.250 0.044 1
Li2 Li 0.280 0.750 0.544 1
Li3 Li 0.720 0.250 0.456 1
Li4 Li 0.780 0.750 0.956 1
V1 V 0.101 0.750 0.963 1
V2 V 0.142 0.075 0.488 1
V3 V 0.142 0.425 0.488 1
V4 V 0.358 0.575 0.988 1
V5 V 0.358 0.925 0.988 1
V6 V 0.399 0.250 0.463 1
V7 V 0.601 0.750 0.537 1
V8 V 0.642 0.075 0.012 1
V9 V 0.642 0.425 0.012 1
V10 V 0.858 0.575 0.512 1
V11 V 0.858 0.925 0.512 1
V12 V 0.899 0.250 0.037 1
O1 O 0.062 0.250 0.262 1
O2 O 0.199 0.582 0.755 1
O3 O 0.199 0.918 0.755 1
O4 O 0.233 0.250 0.675 1
O5 O 0.267 0.750 0.175 1
O6 O 0.301 0.082 0.255 1
O7 O 0.301 0.418 0.255 1
O8 O 0.438 0.750 0.762 1
O9 O 0.562 0.250 0.238 1
O10 O 0.699 0.582 0.745 1
O11 O 0.699 0.918 0.745 1
O12 O 0.733 0.250 0.825 1
O13 O 0.767 0.750 0.325 1
O14 O 0.801 0.082 0.245 1
O15 O 0.801 0.418 0.245 1
O16 O 0.938 0.750 0.738 1
F1 F 0.032 0.589 0.266 1
F2 F 0.032 0.911 0.266 1
F3 F 0.468 0.089 0.766 1
F4 F 0.468 0.411 0.766 1
F5 F 0.532 0.589 0.234 1
F6 F 0.532 0.911 0.234 1
F7 F 0.968 0.089 0.734 1
F8 F 0.968 0.411 0.734 1
```

---

Stability summary - winner: x; margin: 0.022 eV/atom.

---

w | Below is a geometry-optimized Li2V3O4F4 structure, with properties calculated at the PBE+U level.

CIF file:
```
data_Li2V3O4F4
_cell_length_a 5.060
_cell_length_b 6.071
_cell_length_c 10.183
_cell_angle_alpha 106.99
_cell_angle_beta 90.88
_cell_angle_gamma 90.47
_space_group_name_H-M_alt 'P 1'
_space_group_IT_number 1
_space_group_name_Hall 'P 1'
loop_
_atom_site_label
_atom_site_type_symbol
_atom_site_fract_x
_atom_site_fract_y
_atom_site_fract_z
_atom_site_occupancy
Li1 Li 0.000 0.000 0.000 1
Li2 Li 0.000 0.497 0.000 1
Li3 Li 0.912 0.547 0.599 1
Li4 Li 0.918 0.049 0.599 1
V1 V 0.446 0.256 0.501 1
V2 V 0.450 0.745 0.496 1
V3 V 0.513 0.135 0.774 1
V4 V 0.513 0.635 0.774 1
V5 V 0.947 0.892 0.291 1
V6 V 0.948 0.386 0.282 1
O1 O 0.134 0.689 0.372 1
O2 O 0.149 0.172 0.370 1
O3 O 0.279 0.541 0.604 1
O4 O 0.290 0.061 0.601 1
O5 O 0.662 0.442 0.424 1
O6 O 0.679 0.963 0.418 1
O7 O 0.689 0.831 0.667 1
O8 O 0.694 0.332 0.669 1
F1 F 0.144 0.810 0.128 1
F2 F 0.149 0.309 0.116 1
F3 F 0.309 0.930 0.863 1
F4 F 0.313 0.431 0.866 1
F5 F 0.751 0.597 0.191 1
F6 F 0.758 0.084 0.186 1
F7 F 0.801 0.201 0.908 1
F8 F 0.802 0.704 0.909 1
```

---

x | # Li2V3O4F4 PBE+U relaxed
data_Li2V3O4F4
_cell_length_a 10.253
_cell_length_b 10.253
_cell_length_c 5.010
_cell_angle_alpha 91.85
_cell_angle_beta 91.85
_cell_angle_gamma 34.69
_space_group_name_H-M_alt 'P 1'
_space_group_IT_number 1
_space_group_name_Hall 'P 1'
loop_
_atom_site_label
_atom_site_type_symbol
_atom_site_fract_x
_atom_site_fract_y
_atom_site_fract_z
_atom_site_occupancy
Li1 Li 0.000 0.000 0.000 1
Li2 Li 0.050 0.550 0.904 1
Li3 Li 0.500 0.500 0.002 1
Li4 Li 0.550 0.050 0.904 1
V1 V 0.136 0.636 0.500 1
V2 V 0.248 0.248 0.439 1
V3 V 0.392 0.892 0.938 1
V4 V 0.636 0.136 0.500 1
V5 V 0.748 0.748 0.439 1
V6 V 0.892 0.392 0.938 1
O1 O 0.050 0.550 0.276 1
O2 O 0.186 0.186 0.154 1
O3 O 0.332 0.332 0.678 1
O4 O 0.463 0.965 0.659 1
O5 O 0.550 0.050 0.276 1
O6 O 0.686 0.686 0.155 1
O7 O 0.832 0.832 0.678 1
O8 O 0.965 0.463 0.659 1
F1 F 0.096 0.096 0.740 1
F2 F 0.201 0.701 0.799 1
F3 F 0.309 0.808 0.136 1
F4 F 0.431 0.431 0.305 1
F5 F 0.596 0.596 0.739 1
F6 F 0.701 0.201 0.799 1
F7 F 0.808 0.309 0.136 1
F8 F 0.931 0.931 0.305 1
# Largest piezoelectric modulus ... 1.66 C/m2

---

Stability summary - winner: x; margin: 0.009 eV/atom.

---

w | Below is a geometry-optimized Li3V4O11F structure, with properties calculated at the PBE+U level.

CIF file:
```
data_Li3V4O11F
_cell_length_a 4.991
_cell_length_b 4.991
_cell_length_c 10.018
_cell_angle_alpha 90.51
_cell_angle_beta 97.98
_cell_angle_gamma 117.47
_space_group_name_H-M_alt 'P 1'
_space_group_IT_number 1
_space_group_name_Hall 'P 1'
loop_
_atom_site_label
_atom_site_type_symbol
_atom_site_fract_x
_atom_site_fract_y
_atom_site_fract_z
_atom_site_occupancy
Li1 Li 0.000 0.000 0.000 1
Li2 Li 0.320 0.405 0.541 1
Li3 Li 0.670 0.410 0.993 1
V1 V 0.101 0.623 0.253 1
V2 V 0.295 0.000 0.740 1
V3 V 0.736 0.975 0.281 1
V4 V 0.971 0.348 0.793 1
O1 O 0.018 0.677 0.881 1
O2 O 0.054 0.345 0.143 1
O3 O 0.219 0.642 0.668 1
O4 O 0.277 0.289 0.885 1
O5 O 0.435 0.967 0.169 1
O6 O 0.491 0.709 0.375 1
O7 O 0.588 0.267 0.660 1
O8 O 0.677 0.076 0.880 1
O9 O 0.816 0.722 0.161 1
O10 O 0.890 0.357 0.370 1
O11 O 0.993 0.052 0.657 1
F1 F 0.126 0.989 0.377 1
```

---

x | Below is a geometry-optimized Li3V4O11F structure, with properties calculated at the PBE+U level.

CIF file:
```
data_Li3V4O11F
_cell_length_a 5.162
_cell_length_b 5.218
_cell_length_c 8.344
_cell_angle_alpha 93.01
_cell_angle_beta 96.10
_cell_angle_gamma 100.95
_space_group_name_H-M_alt 'P 1'
_space_group_IT_number 1
_space_group_name_Hall 'P 1'
loop_
_atom_site_label
_atom_site_type_symbol
_atom_site_fract_x
_atom_site_fract_y
_atom_site_fract_z
_atom_site_occupancy
Li1 Li 0.000 0.000 0.000 1
Li2 Li 0.059 0.769 0.586 1
Li3 Li 0.550 0.306 0.075 1
V1 V 0.148 0.589 0.190 1
V2 V 0.239 0.376 0.769 1
V3 V 0.681 0.093 0.664 1
V4 V 0.714 0.868 0.251 1
O1 O 0.156 0.406 0.969 1
O2 O 0.360 0.889 0.149 1
O3 O 0.385 0.668 0.723 1
O4 O 0.395 0.452 0.274 1
O5 O 0.519 0.208 0.837 1
O6 O 0.650 0.935 0.464 1
O7 O 0.795 0.672 0.082 1
O8 O 0.864 0.166 0.200 1
O9 O 0.904 0.389 0.645 1
O10 O 0.911 0.949 0.767 1
O11 O 0.999 0.708 0.355 1
F1 F 0.289 0.146 0.574 1
```

---

Stability summary - winner: w; margin: 0.014 eV/atom.

---

w | Below is a geometry-optimized Li2VF4 structure, with properties calculated at the PBE+U level.

CIF file:
```
data_Li2VF4
_cell_length_a 5.912
_cell_length_b 8.720
_cell_length_c 3.136
_cell_angle_alpha 90.00
_cell_angle_beta 90.00
_cell_angle_gamma 90.00
_space_group_name_H-M_alt 'P 1'
_space_group_IT_number 1
_space_group_name_Hall 'P 1'
loop_
_atom_site_label
_atom_site_type_symbol
_atom_site_fract_x
_atom_site_fract_y
_atom_site_fract_z
_atom_site_occupancy
Li1 Li 0.250 0.250 0.000 1
Li2 Li 0.250 0.750 0.000 1
Li3 Li 0.750 0.250 0.000 1
Li4 Li 0.750 0.750 0.000 1
V1 V 0.000 0.000 0.500 1
V2 V 0.500 0.500 0.500 1
F1 F 0.000 0.240 0.500 1
F2 F 0.000 0.760 0.500 1
F3 F 0.234 0.000 0.000 1
F4 F 0.266 0.500 0.000 1
F5 F 0.500 0.260 0.500 1
F6 F 0.500 0.740 0.500 1
F7 F 0.734 0.500 0.000 1
F8 F 0.766 0.000 0.000 1
```

---

x | Below is a geometry-optimized Li2VF4 structure, with properties calculated at the PBE+U level.

CIF file:
```
data_Li2VF4
_cell_length_a 4.173
_cell_length_b 4.173
_cell_length_c 8.999
_cell_angle_alpha 90.00
_cell_angle_beta 90.00
_cell_angle_gamma 90.00
_space_group_name_H-M_alt 'P 1'
_space_group_IT_number 1
_space_group_name_Hall 'P 1'
loop_
_atom_site_label
_atom_site_type_symbol
_atom_site_fract_x
_atom_site_fract_y
_atom_site_fract_z
_atom_site_occupancy
Li1 Li 0.000 0.500 0.250 1
Li2 Li 0.000 0.500 0.750 1
Li3 Li 0.500 0.000 0.250 1
Li4 Li 0.500 0.000 0.750 1
V1 V 0.000 0.000 0.000 1
V2 V 0.500 0.500 0.500 1
F1 F 0.000 0.000 0.234 1
F2 F 0.000 0.000 0.766 1
F3 F 0.000 0.500 0.000 1
F4 F 0.000 0.500 0.500 1
F5 F 0.500 0.000 0.000 1
F6 F 0.500 0.000 0.500 1
F7 F 0.500 0.500 0.266 1
F8 F 0.500 0.500 0.734 1
```

---

y | Below is a geometry-optimized Li2VF4 structure, with properties calculated at the PBE+U level.

CIF file:
```
data_Li2VF4
_cell_length_a 5.382
_cell_length_b 6.192
_cell_length_c 11.041
_cell_angle_alpha 90.00
_cell_angle_beta 114.20
_cell_angle_gamma 90.00
_space_group_name_H-M_alt 'P 1'
_space_group_IT_number 1
_space_group_name_Hall 'P 1'
loop_
_atom_site_label
_atom_site_type_symbol
_atom_site_fract_x
_atom_site_fract_y
_atom_site_fract_z
_atom_site_occupancy
Li1 Li 0.091 0.066 0.276 1
Li2 Li 0.091 0.434 0.776 1
Li3 Li 0.299 0.113 0.552 1
Li4 Li 0.299 0.387 0.052 1
Li5 Li 0.701 0.613 0.948 1
Li6 Li 0.701 0.887 0.448 1
Li7 Li 0.909 0.566 0.224 1
Li8 Li 0.909 0.934 0.724 1
V1 V 0.267 0.634 0.512 1
V2 V 0.267 0.866 0.012 1
V3 V 0.733 0.134 0.988 1
V4 V 0.733 0.366 0.488 1
F1 F 0.003 0.622 0.893 1
F2 F 0.003 0.878 0.393 1
F3 F 0.009 0.606 0.616 1
F4 F 0.009 0.894 0.116 1
F5 F 0.456 0.123 0.386 1
F6 F 0.456 0.377 0.886 1
F7 F 0.483 0.629 0.391 1
F8 F 0.483 0.871 0.891 1
F9 F 0.517 0.129 0.109 1
F10 F 0.517 0.371 0.609 1
F11 F 0.544 0.623 0.114 1
F12 F 0.544 0.877 0.614 1
F13 F 0.991 0.106 0.884 1
F14 F 0.991 0.394 0.384 1
F15 F 0.997 0.122 0.607 1
F16 F 0.997 0.378 0.107 1
```

---

z | Below is a geometry-optimized Li2VF4 structure, with properties calculated at the PBE+U level.

CIF file:
```
data_Li2VF4
_cell_length_a 8.207
_cell_length_b 8.207
_cell_length_c 8.207
_cell_angle_alpha 98.92
_cell_angle_beta 98.92
_cell_angle_gamma 98.92
_space_group_name_H-M_alt 'P 1'
_space_group_IT_number 1
_space_group_name_Hall 'P 1'
loop_
_atom_site_label
_atom_site_type_symbol
_atom_site_fract_x
_atom_site_fract_y
_atom_site_fract_z
_atom_site_occupancy
Li1 Li 0.112 0.281 0.830 1
Li2 Li 0.170 0.888 0.719 1
Li3 Li 0.243 0.473 0.561 1
Li4 Li 0.281 0.830 0.112 1
Li5 Li 0.439 0.757 0.527 1
Li6 Li 0.473 0.561 0.243 1
Li7 Li 0.527 0.439 0.757 1
Li8 Li 0.561 0.243 0.473 1
Li9 Li 0.719 0.170 0.888 1
Li10 Li 0.757 0.527 0.439 1
Li11 Li 0.830 0.112 0.281 1
Li12 Li 0.888 0.719 0.170 1
V1 V 0.085 0.445 0.180 1
V2 V 0.180 0.085 0.445 1
V3 V 0.445 0.180 0.085 1
V4 V 0.555 0.820 0.915 1
V5 V 0.820 0.915 0.555 1
V6 V 0.915 0.555 0.820 1
F1 F 0.048 0.252 0.323 1
F2 F 0.057 0.082 0.667 1
F3 F 0.082 0.667 0.057 1
F4 F 0.093 0.449 0.706 1
F5 F 0.252 0.323 0.048 1
F6 F 0.288 0.569 0.368 1
F7 F 0.294 0.907 0.551 1
F8 F 0.323 0.048 0.252 1
F9 F 0.333 0.943 0.918 1
F10 F 0.368 0.288 0.569 1
F11 F 0.431 0.632 0.712 1
F12 F 0.449 0.706 0.093 1
F13 F 0.551 0.294 0.907 1
F14 F 0.569 0.368 0.288 1
F15 F 0.632 0.712 0.431 1
F16 F 0.667 0.057 0.082 1
F17 F 0.677 0.952 0.748 1
F18 F 0.706 0.093 0.449 1
F19 F 0.712 0.431 0.632 1
F20 F 0.748 0.677 0.952 1
F21 F 0.907 0.551 0.294 1
F22 F 0.918 0.333 0.943 1
F23 F 0.943 0.918 0.333 1
F24 F 0.952 0.748 0.677 1
```

---

Stability summary - winner: z; margin: 0.013 eV/atom.